P3W2O12 (GGA+U, optimized geometry); distance to the lowest polymorph of the same formula = 0.0 kJ per mole of atoms; E_tot = -254.1 eV for the cell shown
1.0
7.9873 -4.3527 0.0000
7.9873 4.3527 0.0000
5.6152 0.0000 7.1562
P W O
6 4 24
Cartesian
11.6811 1.2473 6.9212
12.7073 -3.1303 3.8253
13.3870 1.8830 1.7747
8.2028 -1.8830 5.3816
8.8825 3.1303 3.3309
9.9087 -1.2473 0.2350
18.4855 0.0000 6.1273
13.9382 0.0000 4.6200
7.6516 0.0000 2.5362
3.1043 0.0000 1.0290
14.7516 -1.2207 6.0686
14.9471 1.5795 5.4787
15.6124 -0.3588 3.4718
12.3072 0.3984 5.8202
11.5865 2.7366 6.5049
10.2246 0.7328 7.1209
12.0345 -3.5585 5.1536
12.9785 -1.6302 3.7950
13.1956 1.2318 3.1400
9.4937 -2.7013 5.6813
8.0640 -0.8219 6.5019
9.8931 3.4341 4.4765
11.6967 -3.4341 2.6797
13.5258 0.8219 0.6544
12.0960 2.7013 1.4749
8.3942 -1.2318 4.0163
8.6113 1.6302 3.3612
9.5553 3.5585 2.0027
11.3652 -0.7328 0.0354
10.0032 -2.7366 0.6513
9.2826 -0.3984 1.3360
5.9774 0.3588 3.6845
6.6426 -1.5795 1.6776
6.8382 1.2207 1.0876

Li2MnCo3O8 (GGA+U, optimized geometry); distance to the lowest polymorph of the same formula = 3.4 kJ per mole of atoms; E_tot = -84.8 eV for the cell shown
1.0
-4.4790 3.6533 -0.5533
-4.4969 -1.4303 -3.3831
-5.1199 -1.3181 2.4005
Li Mn Co O
2 1 3 8
Cartesian
-12.3293 0.7914 -1.3434
-1.7666 0.1134 -0.1925
-7.0479 0.4524 -0.7680
-4.7994 1.1676 0.9236
-4.8084 -1.3742 -0.4913
-4.4880 1.1115 -1.9682
-8.3618 -0.9578 -0.8821
-8.3538 1.2995 0.3744
-3.6916 0.2370 -0.4022
-8.0772 1.2497 -2.1938
-6.0187 -0.3449 0.6578
-10.4042 0.6679 -1.1337
-5.7420 -0.3947 -1.9103
-5.7340 1.8626 -0.6538

LiV2O3F3 (GGA+U, optimized geometry); distance to the lowest polymorph of the same formula = 0.3 kJ per mole of atoms; E_tot = -175.1 eV for the cell shown
1.0
5.1266 0.0000 0.0000
2.4482 4.5203 0.0000
0.4229 0.1225 13.5118
Li V O F
3 6 9 9
Cartesian
5.1380 0.1806 3.9105
2.5765 1.4170 1.7287
2.9283 4.5083 10.5581
2.7776 4.5173 6.7454
7.4477 4.4229 0.0466
5.4705 3.1173 9.0108
4.8765 3.0294 2.0688
3.2050 1.5188 11.1892
2.6743 1.6913 4.6127
6.8090 3.5047 8.0000
5.9895 4.2268 1.1690
4.3945 1.3209 12.3652
4.0139 1.7400 3.3597
3.8840 2.7903 10.1261
3.4703 3.1267 1.0977
3.5027 0.1006 10.2269
3.1237 3.1756 5.7051
1.2610 1.1877 5.5462
5.7727 1.4517 1.1691
4.8941 1.5949 7.8256
1.9069 0.0526 3.2564
4.2694 4.3811 7.9936
3.8345 0.3838 5.6057
2.3528 3.1342 12.2277
1.8207 0.4886 12.2737
6.7013 2.8615 3.3803
1.2784 1.7702 10.1301

CaHoCo2O6 (GGA+U, optimized geometry); E_tot = -131.7 eV for the cell shown
1.0
5.2533 0.0000 0.0000
0.0000 5.5747 0.0000
0.0000 0.0000 7.4275
Ca Ho Co O
2 2 4 12
Cartesian
2.5461 1.0620 0.0000
5.1727 4.5126 3.7138
0.1126 3.7751 0.0000
2.7393 1.7996 3.7138
5.2504 1.3699 5.5641
5.2504 1.3699 1.8634
2.6238 4.2048 1.8504
2.6238 4.2048 5.5772
0.5478 1.2688 3.7138
1.0418 5.2446 5.9428
1.0418 5.2446 1.4847
1.5321 2.5416 5.9095
1.5321 2.5416 1.5181
2.1813 4.0289 3.7138
3.1745 4.3059 0.0000
3.6684 0.3300 2.2290
3.6684 0.3300 5.1985
4.1588 3.0330 5.2318
4.1588 3.0330 2.1957
4.8080 1.5458 0.0000

NaLi2FePCO7 (GGA+U, optimized geometry); distance to the lowest polymorph of the same formula = 0.1 kJ per mole of atoms; E_tot = -344.1 eV for the cell shown
1.0
3.9460 1.1176 2.9703
-4.0475 -5.9433 8.6193
5.6021 -7.0632 -5.7126
Na Li Fe P C O
4 8 4 4 4 28
Cartesian
0.1723 -2.8152 3.3282
0.9518 -9.3316 4.7832
5.3230 -9.0570 2.5352
4.5403 -2.5702 1.0918
2.7096 -0.4556 3.2554
3.5274 -6.9280 4.6801
2.7848 -11.4690 2.6592
2.0095 -4.9417 1.1657
5.1943 -6.8968 -2.8855
0.3916 -6.3090 4.2776
0.2805 -5.0095 8.7663
5.0720 -5.6376 1.5939
6.8446 -4.4742 -1.2504
3.4504 -7.9904 -0.0167
2.0270 -3.9028 5.9115
-1.3570 -7.4268 7.1186
6.6329 -7.6373 -0.2741
1.8188 -7.0729 6.9070
-1.1430 -4.2365 6.1304
3.6790 -4.8363 -1.0246
3.2039 -4.1740 3.5195
3.9814 -10.6641 4.9731
2.3353 -7.6931 2.3903
1.5195 -1.2136 0.8885
1.1618 -1.0290 2.1194
1.9288 -7.5272 3.6110
4.3443 -10.8518 3.7417
3.5641 -4.3579 2.2879
4.0424 -3.8291 4.4462
4.8165 -10.3151 5.8999
1.5269 -8.0412 1.4343
0.6814 -1.5603 -0.0379
1.9498 -4.3489 3.8516
2.7269 -10.8401 5.3007
3.5954 -7.5006 2.1032
2.7737 -1.0364 0.5524
7.4982 -6.5071 -0.9338
2.6851 -5.9483 6.2482
-2.0208 -5.3504 6.7876
2.8337 -5.9833 -0.3622
1.8968 -1.8528 5.3237
2.6677 -8.3584 6.8159
3.6264 -9.9957 0.5101
2.8039 -3.5670 -0.9088
5.3044 -7.8154 -1.0792
0.4852 -7.2397 6.1079
0.1815 -4.0752 6.9405
5.0046 -4.6558 -0.2193
-0.7814 -4.5951 4.6625
4.0416 -5.1771 -2.4964
6.2711 -7.2935 1.1915
1.4553 -6.7153 8.3785

Al2FeP2O18 (GGA+U, optimized geometry); E_tot = -255.3 eV for the cell shown
1.0
-1.1837 1.2502 -9.7306
0.8389 -6.8596 -0.9834
-9.5088 -2.6805 0.8123
Al Fe P O
4 2 4 36
Cartesian
-4.4831 -6.9490 -2.9979
-4.9843 -4.7354 -7.6701
-5.3704 -1.3409 -6.9037
-4.8692 -3.5545 -2.2315
0.0000 0.0000 0.0000
-0.1724 -2.8047 -5.3570
-2.9017 -6.5331 -5.9113
-6.0366 -5.7102 -0.4067
-6.9518 -1.7568 -3.9903
-3.8169 -2.5797 -9.4950
-3.3222 -7.0214 -4.5065
-6.4656 -4.3245 -8.7952
-6.5313 -1.2684 -5.3952
-3.3879 -3.9653 -1.1064
-3.7369 -5.3027 -6.3609
-5.3687 -6.7639 -1.3325
-6.1166 -2.9872 -3.5408
-4.4848 -1.5260 -8.5691
-3.9139 -0.8470 -5.9038
-6.0630 -4.3258 -1.0718
-5.9397 -7.4428 -3.9978
-3.7905 -3.9640 -8.8299
-1.4358 -6.1031 -5.7568
-7.4371 -6.2093 -0.0228
-8.4178 -2.1867 -4.1448
-2.4165 -2.0806 -9.8788
-4.5270 -5.1126 -3.1458
-5.0322 -6.4748 -8.2769
-5.3265 -3.1773 -6.7558
-4.8213 -1.8150 -1.6247
-2.9631 -6.3990 -1.9369
-6.2271 -5.5782 -6.4519
-6.8904 -1.8909 -7.9648
-3.6264 -2.7117 -3.4497
0.2279 -5.3956 -1.8776
-9.3430 -6.6609 -5.8935
-10.0814 -2.8942 -8.0240
-0.5106 -1.6289 -4.0081
-1.0228 -3.8293 -4.1385
-8.7090 -7.5759 -8.7025
-8.8308 -4.4606 -5.7631
-1.1445 -0.7140 -1.1992
-8.2320 -5.5268 -3.4765
-1.4991 -5.8791 -9.3584
-1.6215 -2.7630 -6.4251
-8.3544 -2.4108 -0.5432

Which formula does entry 5 have?
NaLi2FePCO7

E_tot of number 5 (NaLi2FePCO7)?
-344.1 eV for the cell shown